# Ba4LiY2Cu5O14

A relaxed structure of Ba4LiY2Cu5O14 (PBE-GGA, the Materials Project database).

Properties
Magnetization   0.01 Bohr magnetons per cell
Energy of formation from the pure elements   -2.26 eV per atom
ρ   5.88 g/cm3

Unit cell a=5.5037 b=5.5037 c=12.5074 alpha=77.52 beta=77.52 gamma=90.98
Fractional positions:
O1 0.2358 0.7363 0.0013
O2 0.4382 0.4382 0.6231
O3 0.9362 0.4377 0.6214
O4 0.9375 0.9375 0.6234
O5 0.0651 0.0651 0.3815
O6 0.0681 0.5468 0.3808
O7 0.5823 0.5823 0.8427
O8 0.9213 0.9213 0.1612
O9 0.0812 0.0812 0.8448
O10 0.4221 0.4221 0.1551
O11 0.5497 0.5497 0.3816
O12 0.4377 0.9362 0.6214
O13 0.7363 0.2358 0.0013
O14 0.5468 0.0681 0.3808
Cu1 0.1763 0.1763 0.6467
Cu2 0.3117 0.3117 0.3717
Cu3 0.9987 0.9987 0.0027
Cu4 0.4990 0.4990 0.9999
Cu5 0.6766 0.6766 0.6457
Ba1 0.0921 0.5907 0.8181
Ba2 0.5907 0.0921 0.8181
Ba3 0.9048 0.4047 0.1873
Ba4 0.4047 0.9048 0.1873
Li1 0.8296 0.8296 0.3368
Y1 0.2488 0.7505 0.4974
Y2 0.7505 0.2488 0.4974

---

# Ca2Zn3Ag

A relaxed structure of Ca2Zn3Ag (PBE-GGA, the Materials Project database).

Properties
Energy of formation from the pure elements   -0.31 eV per atom
ρ   4.86 g/cm3

Unit cell a=5.7723 b=5.7723 c=7.3337 alpha=51.06 beta=51.06 gamma=47.69
Fractional positions:
Ca1 0.5496 0.5496 0.6991
Ca2 0.4506 0.4506 0.2993
Ag1 0.1620 0.1620 0.2792
Zn1 0.8421 0.8421 0.0967
Zn2 0.1661 0.1661 0.8910
Zn3 0.8296 0.8296 0.7347

---

# SrSmGa3O7

A relaxed structure of SrSmGa3O7 (PBE-GGA, the Materials Project database).

Properties
Magnetization   0.00 Bohr magnetons per cell
Energy of formation from the pure elements   -2.84 eV per atom
ρ   5.38 g/cm3

Unit cell a=8.0500 b=8.0500 c=5.3291 alpha=90.00 beta=90.00 gamma=90.95
Fractional positions:
Sm1 0.6610 0.6610 0.5146
Sm2 0.3390 0.3390 0.5146
O1 0.0986 0.3433 0.7868
O2 0.1542 0.1542 0.3056
O3 0.1646 0.5817 0.2047
O4 0.6567 0.9014 0.7868
O5 0.8354 0.4183 0.2047
O6 0.8458 0.8458 0.3056
O7 0.4183 0.8354 0.2047
O8 0.3733 0.6267 0.6934
O9 0.5000 0.5000 0.2134
O10 0.3433 0.0986 0.7868
O11 0.6267 0.3733 0.6934
O12 0.0000 0.0000 0.8187
O13 0.5817 0.1646 0.2047
O14 0.9014 0.6567 0.7868
Ga1 0.5000 0.0000 0.9952
Ga2 0.1475 0.1475 0.9671
Ga3 0.6410 0.3590 0.0344
Ga4 0.8525 0.8525 0.9671
Ga5 0.3590 0.6410 0.0344
Ga6 0.0000 0.5000 0.9952
Sr1 0.8382 0.1618 0.4906
Sr2 0.1618 0.8382 0.4906